# AlB3H30N6

Crystalline AlB3H30N6 at its relaxed geometry (PBE, the Materials Project).

```
320
Lattice="13.631 0.000 0.000 0.000 15.407 0.000 0.000 0.000 13.498" Properties=species:S:1:pos:R:3 pbc="T T T"
Al 2.919 2.060 0.873
Al 2.919 13.347 7.622
Al 3.896 5.643 7.622
Al 3.896 9.764 0.873
Al 9.734 5.643 12.625
Al 9.734 9.764 5.876
Al 10.712 2.060 5.876
Al 10.712 13.347 12.625
B 0.339 5.058 12.374
B 0.339 10.349 5.625
B 1.448 1.342 5.157
B 1.448 14.065 11.906
B 3.007 5.788 2.985
B 3.007 9.620 9.734
B 3.809 1.916 9.734
B 3.809 13.491 2.985
B 5.367 6.361 11.906
B 5.367 9.046 5.157
B 6.476 2.646 5.625
B 6.476 12.761 12.374
B 7.155 2.646 1.124
B 7.155 12.761 7.873
B 8.263 6.361 8.341
B 8.263 9.046 1.592
B 9.822 1.916 10.512
B 9.822 13.491 3.763
B 10.624 5.788 3.763
B 10.624 9.620 10.512
B 12.182 1.342 1.592
B 12.182 14.065 8.341
B 13.291 5.058 7.873
B 13.291 10.349 1.124
H 0.013 5.340 6.722
H 0.013 10.068 13.471
H 0.034 5.926 8.654
H 0.034 9.481 1.905
H 0.147 3.971 8.198
H 0.147 11.436 1.449
H 0.518 2.785 1.729
H 0.518 12.622 8.477
H 0.914 0.435 4.519
H 0.914 1.460 6.259
H 0.914 13.947 13.008
H 0.914 14.972 11.268
H 0.979 0.553 1.874
H 0.979 14.854 8.623
H 1.131 3.982 0.809
H 1.131 11.425 7.558
H 1.323 2.397 4.538
H 1.323 13.011 11.287
H 1.365 2.748 12.361
H 1.365 12.660 5.612
H 1.440 6.462 7.040
H 1.440 8.945 0.291
H 1.522 1.103 12.327
H 1.522 14.304 5.578
H 1.564 4.993 12.348
H 1.564 10.414 5.599
H 1.631 3.835 2.349
H 1.631 11.572 9.098
H 1.768 0.285 7.467
H 1.768 15.123 0.719
H 1.796 4.106 7.212
H 1.796 11.301 0.463
H 1.956 5.700 9.450
H 1.956 9.707 2.701
H 2.310 7.646 0.793
H 2.310 7.761 7.542
H 2.334 5.041 3.698
H 2.334 10.366 10.447
H 2.424 0.157 8.964
H 2.424 15.250 2.215
H 2.441 5.954 1.907
H 2.441 9.453 8.656
H 2.482 7.217 6.011
H 2.482 8.190 12.759
H 2.643 1.093 5.298
H 2.643 14.314 12.047
H 2.690 2.399 9.553
H 2.690 13.008 2.804
H 2.695 2.034 11.731
H 2.695 13.373 4.982
H 2.894 3.682 6.074
H 2.894 11.725 12.823
H 2.952 4.446 9.741
H 2.952 10.961 2.992
H 3.074 3.171 7.613
H 3.074 12.237 0.865
H 3.124 6.869 3.557
H 3.124 8.538 10.306
H 3.388 5.940 10.237
H 3.388 9.468 3.488
H 3.427 1.764 3.488
H 3.427 13.643 10.237
H 3.691 0.834 10.306
H 3.691 14.573 3.557
H 3.742 4.533 0.865
H 3.742 10.874 7.613
H 3.863 3.257 2.992
H 3.863 12.150 9.741
H 3.922 4.022 12.823
H 3.922 11.386 6.074
H 4.120 5.670 4.982
H 4.120 9.738 11.731
H 4.126 5.304 2.804
H 4.126 10.103 9.553
H 4.172 6.610 12.047
H 4.172 8.797 5.298
H 4.333 0.486 12.759
H 4.333 14.921 6.011
H 4.375 1.750 8.656
H 4.375 13.657 1.907
H 4.391 7.546 2.215
H 4.391 7.861 8.964
H 4.481 2.663 10.447
H 4.481 12.744 3.698
H 4.505 0.058 7.542
H 4.505 15.349 0.793
H 4.859 2.003 2.701
H 4.859 13.404 9.450
H 5.020 3.598 0.463
H 5.020 11.810 7.212
H 5.048 7.419 0.719
H 5.048 7.988 7.467
H 5.185 3.869 9.098
H 5.185 11.539 2.349
H 5.251 2.711 5.599
H 5.251 12.696 12.348
H 5.293 6.600 5.578
H 5.293 8.807 12.327
H 5.375 1.242 0.291
H 5.375 14.166 7.040
H 5.450 4.956 5.612
H 5.450 10.451 12.361
H 5.492 5.307 11.287
H 5.492 10.100 4.538
H 5.684 3.721 7.558
H 5.684 11.686 0.809
H 5.836 7.150 8.623
H 5.836 8.257 1.874
H 5.902 6.243 13.008
H 5.902 7.269 11.268
H 5.902 8.139 4.519
H 5.902 9.164 6.259
H 6.298 4.919 8.477
H 6.298 10.489 1.729
H 6.669 3.732 1.449
H 6.669 11.675 8.198
H 6.782 1.778 1.905
H 6.782 13.630 8.654
H 6.802 2.364 13.471
H 6.802 13.043 6.722
H 6.828 2.364 6.776
H 6.828 13.043 0.027
H 6.849 1.778 4.843
H 6.849 13.630 11.592
H 6.962 3.732 5.300
H 6.962 11.675 12.049
H 7.333 4.919 11.769
H 7.333 10.489 5.020
H 7.729 6.243 7.239
H 7.729 7.269 8.979
H 7.729 8.139 2.230
H 7.729 9.164 0.490
H 7.794 7.150 11.624
H 7.794 8.257 4.875
H 7.947 3.721 12.689
H 7.947 11.686 5.940
H 8.139 5.307 8.960
H 8.139 10.100 2.211
H 8.181 4.956 1.136
H 8.181 10.451 7.885
H 8.255 1.242 6.458
H 8.255 14.166 13.207
H 8.338 6.600 1.171
H 8.338 8.807 7.920
H 8.380 2.711 1.150
H 8.380 12.696 7.899
H 8.446 3.869 11.149
H 8.446 11.539 4.400
H 8.583 7.419 6.030
H 8.583 7.988 12.779
H 8.611 3.598 6.286
H 8.611 11.810 13.034
H 8.772 2.003 4.048
H 8.772 13.404 10.797
H 9.126 0.058 12.705
H 9.126 15.349 5.956
H 9.149 2.663 9.800
H 9.149 12.744 3.051
H 9.240 7.546 4.534
H 9.240 7.861 11.283
H 9.256 1.750 11.590
H 9.256 13.657 4.842
H 9.297 0.486 7.487
H 9.297 14.921 0.738
H 9.458 6.610 8.200
H 9.458 8.797 1.451
H 9.505 5.304 3.945
H 9.505 10.103 10.694
H 9.511 5.670 1.767
H 9.511 9.738 8.516
H 9.709 4.022 7.424
H 9.709 11.386 0.675
H 9.768 3.257 3.757
H 9.768 12.150 10.505
H 9.889 4.533 5.884
H 9.889 10.874 12.633
H 9.939 0.834 9.941
H 9.939 14.573 3.192
H 10.203 1.764 3.261
H 10.203 13.643 10.010
H 10.242 5.940 10.010
H 10.242 9.468 3.261
H 10.506 6.869 3.192
H 10.506 8.538 9.941
H 10.557 3.171 12.633
H 10.557 12.237 5.884
H 10.678 4.446 10.505
H 10.678 10.961 3.757
H 10.737 3.682 0.675
H 10.737 11.725 7.424
H 10.935 2.034 8.516
H 10.935 13.373 1.767
H 10.941 2.399 10.694
H 10.941 13.008 3.945
H 10.987 1.093 1.451
H 10.987 14.314 8.200
H 11.149 7.217 0.738
H 11.149 8.190 7.487
H 11.190 5.954 4.842
H 11.190 9.453 11.590
H 11.206 0.157 11.283
H 11.206 15.250 4.534
H 11.297 5.041 3.051
H 11.297 10.366 9.800
H 11.320 7.646 5.956
H 11.320 7.761 12.705
H 11.674 5.700 10.797
H 11.674 9.707 4.048
H 11.835 4.106 13.034
H 11.835 11.301 6.286
H 11.863 0.285 12.779
H 11.863 15.123 6.030
H 12.000 3.835 4.400
H 12.000 11.572 11.149
H 12.066 4.993 7.899
H 12.066 10.414 1.150
H 12.108 1.103 7.920
H 12.108 14.304 1.171
H 12.191 6.462 13.207
H 12.191 8.945 6.458
H 12.265 2.748 7.885
H 12.265 12.660 1.136
H 12.307 2.397 2.211
H 12.307 13.011 8.960
H 12.499 3.982 5.940
H 12.499 11.425 12.689
H 12.652 0.553 4.875
H 12.652 14.854 11.624
H 12.717 0.435 2.230
H 12.717 1.460 0.490
H 12.717 13.947 7.239
H 12.717 14.972 8.979
H 13.113 2.785 5.020
H 13.113 12.622 11.769
H 13.484 3.971 12.049
H 13.484 11.436 5.300
H 13.597 5.926 11.592
H 13.597 9.481 4.843
H 13.618 5.340 0.027
H 13.618 10.068 6.776
N 1.399 3.274 1.514
N 1.399 12.133 8.263
N 1.921 0.383 1.492
N 1.921 15.024 8.241
N 2.033 1.978 12.523
N 2.033 13.430 5.774
N 2.375 6.898 6.984
N 2.375 8.510 0.235
N 2.809 3.993 7.051
N 2.809 11.415 0.302
N 2.952 5.436 9.451
N 2.952 9.971 2.702
N 3.864 2.268 2.702
N 3.864 13.140 9.451
N 4.006 3.711 0.302
N 4.006 11.696 7.051
N 4.440 0.806 0.235
N 4.440 14.601 6.984
N 4.782 5.726 5.774
N 4.782 9.681 12.523
N 4.894 7.320 8.241
N 4.894 8.087 1.492
N 5.416 4.429 8.263
N 5.416 10.978 1.514
N 8.215 4.429 11.984
N 8.215 10.978 5.235
N 8.736 7.320 12.005
N 8.736 8.087 5.257
N 8.849 5.726 0.975
N 8.849 9.681 7.724
N 9.190 0.806 6.514
N 9.190 14.601 13.263
N 9.625 3.711 6.447
N 9.625 11.696 13.196
N 9.767 2.268 4.046
N 9.767 13.140 10.795
N 10.679 5.436 10.795
N 10.679 9.971 4.046
N 10.821 3.993 13.196
N 10.821 11.415 6.447
N 11.255 6.898 13.263
N 11.255 8.510 6.514
N 11.597 1.978 7.724
N 11.597 13.430 0.975
N 11.709 0.383 5.257
N 11.709 15.024 12.005
N 12.231 3.274 5.235
N 12.231 12.133 11.984
```

Computed properties:
Raw total energy = -4.710 eV per atom
Volume = 2834.7 Å³ per cell



# AlB3H14N

Crystalline AlB3H14N at its relaxed geometry (PBE, the Materials Project).

```
152
Lattice="11.071 0.000 0.000 0.000 11.632 0.000 -9.194 0.000 11.646" Properties=species:S:1:pos:R:3 pbc="T T T"
Al -1.857 0.802 4.312
Al -6.454 5.014 10.135
Al -1.778 7.762 6.769
Al 2.819 9.686 0.946
Al -0.942 1.946 10.700
Al 3.655 3.870 4.877
Al 8.331 6.618 1.511
Al 3.734 10.830 7.334
B -3.385 8.602 5.449
B -7.982 8.846 11.272
B -0.955 6.571 2.808
B -5.552 10.878 8.631
B -5.080 6.545 9.403
B -0.483 10.903 3.580
B 2.693 0.238 0.776
B -1.904 5.578 6.599
B -1.594 1.010 6.493
B 3.003 4.806 0.670
B -3.098 2.449 10.384
B 1.499 3.367 4.561
B 0.378 8.265 7.084
B 4.975 9.183 1.262
B -1.126 6.826 10.975
B 3.471 10.622 5.153
B 3.781 6.054 5.047
B -0.816 11.394 10.870
B 2.360 0.729 8.066
B 6.957 5.087 2.243
B 7.429 0.755 3.015
B 2.832 5.061 8.837
B 9.859 2.786 0.374
B 5.262 3.030 6.197
H -0.884 2.429 1.486
H -5.481 3.387 7.308
H -0.924 6.417 1.567
H -5.521 11.031 7.390
H -2.112 6.535 3.261
H -6.709 10.913 9.084
H 0.704 7.835 0.048
H -3.893 9.614 5.871
H -5.248 6.989 8.294
H -3.613 7.657 6.222
H 0.984 9.791 0.399
H -0.651 10.459 2.471
H -6.219 2.071 9.798
H -1.622 3.745 3.975
H -6.130 6.785 10.057
H -1.533 10.663 4.234
H -0.491 7.658 3.064
H -5.088 9.791 8.887
H 1.740 0.787 0.283
H -2.857 5.029 6.105
H -6.751 8.625 11.174
H -2.154 8.824 5.351
H -2.598 0.487 5.969
H 1.999 5.329 0.146
H -4.977 0.209 9.079
H -0.380 5.607 3.256
H -0.300 0.513 3.440
H -4.897 5.303 9.263
H -1.425 6.340 5.714
H -6.022 11.108 11.537
H 1.239 8.593 2.646
H -3.358 8.855 8.469
H -1.925 2.112 6.868
H 2.672 3.704 1.045
H -2.353 6.239 7.574
H 2.244 11.209 1.751
H -4.165 6.944 10.075
H 0.432 10.504 4.252
H -0.638 1.102 5.698
H -5.236 4.714 11.521
H 1.335 2.425 3.822
H -3.262 3.391 9.644
H 2.537 7.617 2.380
H -2.060 9.831 8.203
H -0.318 8.669 6.123
H 4.279 8.779 0.300
H 3.615 0.893 1.188
H -0.982 4.924 7.011
H -1.217 0.217 7.325
H -4.059 1.945 10.919
H 0.538 3.871 5.096
H 3.380 5.599 1.502
H -2.533 1.536 9.756
H 2.064 4.280 3.933
H -1.901 8.533 9.198
H 2.696 8.915 3.376
H -0.819 2.717 8.270
H 3.779 3.099 2.447
H -0.187 7.352 7.712
H 4.410 10.097 1.890
H -1.502 6.033 10.144
H 1.339 7.761 6.550
H 5.936 9.687 0.727
H 3.095 11.415 4.321
H 2.859 6.709 4.635
H -1.738 10.740 10.458
H -2.402 2.853 11.345
H 2.195 2.963 5.522
H 3.938 1.801 3.443
H -0.659 4.015 9.266
H 5.140 8.241 2.001
H 0.543 9.207 7.824
H 7.113 6.918 0.125
H 2.516 10.530 5.947
H 1.446 1.128 7.393
H 6.043 4.688 1.571
H -0.366 0.423 9.894
H 4.231 5.393 4.071
H -0.795 7.928 10.601
H 3.803 9.520 4.778
H 5.235 2.777 3.176
H 0.638 3.039 8.999
H 7.899 0.524 0.109
H 3.302 5.292 5.932
H 6.775 6.329 2.383
H 2.178 11.119 8.206
H 2.257 6.025 8.389
H 6.854 11.423 2.567
H -0.122 6.303 11.500
H 4.475 11.145 5.677
H 4.031 2.809 6.295
H 8.628 3.007 0.472
H 4.734 6.603 5.540
H 0.137 10.845 11.363
H 6.965 1.842 2.759
H 2.368 3.975 8.581
H 3.411 0.969 7.412
H 8.008 4.847 1.589
H 3.499 7.887 7.670
H 8.096 9.561 1.847
H 2.528 1.173 9.175
H 0.893 1.841 11.246
H 5.490 3.975 5.424
H 7.125 4.643 3.352
H 5.770 2.019 5.775
H 1.173 3.798 11.598
H 8.586 0.719 2.562
H 3.989 5.097 8.385
H 7.398 0.601 4.256
H 2.801 5.215 10.079
H 7.358 8.245 4.337
H 2.761 9.203 10.160
N -1.654 2.714 4.020
N -6.251 3.102 9.843
N 2.256 8.599 2.497
N -2.341 8.849 8.320
N 4.218 2.783 3.326
N -0.379 3.033 9.149
N 8.128 8.530 1.803
N 3.531 8.919 7.626
```

Computed properties:
Raw total energy = -4.240 eV per atom
Volume = 1499.8 Å³ per cell